Crystalline Li2MnV3O8 at its relaxed geometry, computed with PBE+U.

Cell: 8.478 8.478 8.478 Å, 89.91 89.91 89.91°
Atoms (fractional coordinates):
V: 0.123 0.875 0.377
V: 0.623 0.878 0.878
V: 0.875 0.377 0.123
V: 0.623 0.371 0.385
V: 0.878 0.623 0.878
V: 0.621 0.122 0.125
V: 0.125 0.621 0.122
V: 0.371 0.385 0.623
V: 0.385 0.623 0.371
V: 0.878 0.878 0.623
V: 0.377 0.123 0.875
V: 0.122 0.125 0.621
O: 0.145 0.121 0.851
O: 0.902 0.865 0.393
O: 0.385 0.385 0.385
O: 0.612 0.371 0.599
O: 0.875 0.648 0.645
O: 0.648 0.645 0.875
O: 0.364 0.146 0.633
O: 0.855 0.373 0.352
O: 0.114 0.886 0.613
O: 0.892 0.100 0.629
O: 0.862 0.862 0.862
O: 0.629 0.892 0.100
O: 0.138 0.355 0.628
O: 0.352 0.855 0.373
O: 0.399 0.130 0.105
O: 0.393 0.902 0.865
O: 0.105 0.399 0.130
O: 0.645 0.875 0.648
O: 0.121 0.851 0.145
O: 0.599 0.612 0.371
O: 0.851 0.145 0.121
O: 0.613 0.114 0.886
O: 0.373 0.352 0.855
O: 0.633 0.364 0.146
O: 0.355 0.628 0.138
O: 0.371 0.599 0.612
O: 0.100 0.629 0.892
O: 0.628 0.138 0.355
O: 0.130 0.105 0.399
O: 0.146 0.633 0.364
O: 0.865 0.393 0.902
O: 0.886 0.613 0.114
Li: 0.249 0.249 0.249
Li: 0.372 0.873 0.123
Li: 0.873 0.123 0.372
Li: 0.752 0.751 0.247
Li: 0.751 0.247 0.752
Li: 0.247 0.752 0.751
Li: 0.629 0.629 0.629
Li: 0.123 0.372 0.873
Mn: 0.996 0.499 0.501
Mn: 0.499 0.501 0.996
Mn: 0.501 0.996 0.499
Mn: 0.002 0.002 0.002

Results
Space group: R3 (146)
Total magnetic moment (μB per atom): 0.57
Energy relative to the elements (eV/f.u.): -34.10
ΔE to the lowest computed polymorph (meV per atom): 1.4